[1]
Computed, not measured: a relaxed Cs2NaVF6 crystal at the GGA+U level of DFT.

Lattice parameters (Å, degrees): 11.0631 11.0631 11.0631 33.49 33.49 33.49
Element x y z (fractional)
Cs (0.1280, 0.1280, 0.1280)
Cs (0.2824, 0.2824, 0.2824)
Cs (0.7176, 0.7176, 0.7176)
Cs (0.8720, 0.8720, 0.8720)
Na (0.4029, 0.4029, 0.4029)
Na (0.5971, 0.5971, 0.5971)
V (0.0000, 0.0000, 0.0000)
V (0.5000, 0.5000, 0.5000)
F (0.1756, 0.6043, 0.6043)
F (0.1850, 0.1850, 0.7386)
F (0.1850, 0.7386, 0.1850)
F (0.2614, 0.8151, 0.8150)
F (0.3957, 0.3957, 0.8244)
F (0.3957, 0.8244, 0.3957)
F (0.6043, 0.1756, 0.6043)
F (0.6043, 0.6043, 0.1756)
F (0.7386, 0.1850, 0.1850)
F (0.8150, 0.2614, 0.8150)
F (0.8150, 0.8150, 0.2614)
F (0.8244, 0.3957, 0.3957)

Values from the calculation:
SG: R-3m
Total magnetic moment (μB/atom): 0.200
Total energy (Ry/atom): -0.36843



[2]
Computed, not measured: a relaxed NaMnCrF6 crystal at the GGA+U level of DFT.

Lattice parameters (Å, degrees): 9.1624 9.1624 5.0907 90.00 90.00 120.00
Element x y z (fractional)
Na (0.0000, 0.3702, 0.0000)
Na (0.3702, 0.0000, 0.0000)
Na (0.6298, 0.6298, 0.0000)
Mn (0.0000, 0.7008, 0.5000)
Mn (0.2992, 0.2992, 0.5000)
Mn (0.7008, 0.0000, 0.5000)
Cr (0.0000, 0.0000, 0.0000)
Cr (0.3333, 0.6667, 0.4962)
Cr (0.6667, 0.3333, 0.5038)
F (0.0999, 0.2010, 0.2213)
F (0.1011, 0.9001, 0.2213)
F (0.1301, 0.5918, 0.2860)
F (0.2010, 0.0999, 0.7787)
F (0.2252, 0.4589, 0.7048)
F (0.2337, 0.7748, 0.7048)
F (0.4082, 0.5382, 0.2860)
F (0.4589, 0.2252, 0.2952)
F (0.4618, 0.8699, 0.2860)
F (0.5382, 0.4082, 0.7140)
F (0.5411, 0.7663, 0.7048)
F (0.5918, 0.1301, 0.7140)
F (0.7663, 0.5411, 0.2952)
F (0.7748, 0.2337, 0.2952)
F (0.7990, 0.8989, 0.2213)
F (0.8699, 0.4618, 0.7140)
F (0.8989, 0.7990, 0.7787)
F (0.9001, 0.1011, 0.7787)

Values from the calculation:
SG: P321
Total magnetic moment (μB/atom): 0.889
Total energy (Ry/atom): -0.42991



[3]
Computed, not measured: a relaxed MnCoP2O8 crystal at the GGA+U level of DFT.

Lattice parameters (Å, degrees): 4.8364 5.9217 9.9059 90.00 91.26 90.00
Element x y z (fractional)
Mn (0.0638, 0.2500, 0.2157)
Mn (0.9362, 0.7500, 0.7843)
Co (0.4453, 0.2500, 0.7187)
Co (0.5547, 0.7500, 0.2813)
P (0.0826, 0.7500, 0.0981)
P (0.4127, 0.7500, 0.5981)
P (0.5873, 0.2500, 0.4019)
P (0.9174, 0.2500, 0.9019)
O (0.1520, 0.7500, 0.9470)
O (0.2296, 0.2500, 0.8841)
O (0.2367, 0.5499, 0.1714)
O (0.2367, 0.9501, 0.1714)
O (0.2705, 0.2500, 0.3810)
O (0.2752, 0.5439, 0.6722)
O (0.2752, 0.9561, 0.6722)
O (0.3407, 0.7500, 0.4474)
O (0.6593, 0.2500, 0.5526)
O (0.7248, 0.0439, 0.3278)
O (0.7248, 0.4561, 0.3278)
O (0.7295, 0.7500, 0.6190)
O (0.7633, 0.0499, 0.8286)
O (0.7633, 0.4501, 0.8286)
O (0.7704, 0.7500, 0.1159)
O (0.8480, 0.2500, 0.0530)

Values from the calculation:
ΔE to the lowest computed polymorph (eV per atom): 0.0000
SG: P2_1/m
Total magnetic moment (μB/atom): 0.667
Total energy (Ry/atom): -0.51905



[4]
Computed, not measured: a relaxed Zn3Fe4Bi6O24 crystal at the GGA+U level of DFT.

Lattice parameters (Å, degrees): 6.6539 7.9805 11.3170 104.27 97.91 109.95
Element x y z (fractional)
Zn (0.0000, 0.0000, 0.0000)
Zn (0.0247, 0.4862, 0.7052)
Zn (0.9753, 0.5138, 0.2948)
Fe (0.2675, 0.3659, 0.9088)
Fe (0.4732, 0.7820, 0.4819)
Fe (0.5268, 0.2180, 0.5181)
Fe (0.7325, 0.6341, 0.0912)
Bi (0.1057, 0.9065, 0.6046)
Bi (0.3642, 0.3320, 0.2332)
Bi (0.3663, 0.8085, 0.1872)
Bi (0.6337, 0.1915, 0.8128)
Bi (0.6358, 0.6680, 0.7668)
Bi (0.8943, 0.0935, 0.3954)
O (0.0276, 0.6610, 0.1655)
O (0.0409, 0.2845, 0.2958)
O (0.1418, 0.7107, 0.4587)
O (0.1596, 0.2665, 0.0479)
O (0.1998, 0.1163, 0.5007)
O (0.2601, 0.1098, 0.7898)
O (0.2890, 0.0278, 0.1348)
O (0.3213, 0.5139, 0.7879)
O (0.3599, 0.6125, 0.3006)
O (0.4218, 0.6239, 0.0393)
O (0.4658, 0.6450, 0.5950)
O (0.4830, 0.0135, 0.6182)
O (0.5170, 0.9865, 0.3818)
O (0.5342, 0.3550, 0.4050)
O (0.5782, 0.3761, 0.9607)
O (0.6401, 0.3875, 0.6994)
O (0.6787, 0.4861, 0.2121)
O (0.7110, 0.9722, 0.8652)
O (0.7399, 0.8902, 0.2102)
O (0.8002, 0.8837, 0.4993)
O (0.8404, 0.7335, 0.9521)
O (0.8582, 0.2893, 0.5413)
O (0.9591, 0.7155, 0.7042)
O (0.9724, 0.3390, 0.8345)

Values from the calculation:
SG: P-1
Total magnetic moment (μB/atom): 0.540
Total energy (Ry/atom): -0.40791



[5]
Computed, not measured: a relaxed CaLaFe2O6 crystal at the GGA+U level of DFT.

Lattice parameters (Å, degrees): 7.8125 5.5231 5.5209 90.00 90.00 90.00
Element x y z (fractional)
Ca (0.0000, 0.2136, 0.0000)
Ca (0.5000, 0.7864, 0.5000)
La (0.0000, 0.7223, 0.5158)
La (0.5000, 0.2777, 0.0158)
Fe (0.2492, 0.2499, 0.5099)
Fe (0.2508, 0.7501, 0.0099)
Fe (0.7492, 0.7501, 0.0099)
Fe (0.7508, 0.2499, 0.5099)
O (0.0000, 0.2636, 0.4304)
O (0.0000, 0.7667, 0.0809)
O (0.2081, 0.4673, 0.7926)
O (0.2116, 0.9721, 0.7317)
O (0.2884, 0.0279, 0.2317)
O (0.2919, 0.5327, 0.2926)
O (0.5000, 0.2333, 0.5809)
O (0.5000, 0.7364, 0.9304)
O (0.7081, 0.5327, 0.2926)
O (0.7116, 0.0279, 0.2317)
O (0.7884, 0.9721, 0.7317)
O (0.7919, 0.4673, 0.7926)

Values from the calculation:
SG: Pmn2_1
Total magnetic moment (μB/atom): 0.900
Total energy (Ry/atom): -0.51695



[6]
Computed, not measured: a relaxed BaTb2NiO5 crystal at the GGA+U level of DFT.

Lattice parameters (Å, degrees): 6.7128 6.7128 6.7128 147.08 128.53 62.46
Element x y z (fractional)
Ba (0.0000, 0.0000, 0.0000)
Tb (0.2968, 0.7968, 0.5000)
Tb (0.7032, 0.2032, 0.5000)
Ni (0.5000, 0.5000, 0.0000)
O (0.1104, 0.3507, 0.7597)
O (0.4090, 0.6493, 0.7597)
O (0.5000, 0.0000, 0.5000)
O (0.5910, 0.3507, 0.2403)
O (0.8896, 0.6493, 0.2403)

Values from the calculation:
SG: Immm
Total magnetic moment (μB/atom): 0.222
Total energy (Ry/atom): -0.52096



[7]
Computed, not measured: a relaxed Mo4O11 crystal at the GGA+U level of DFT.

Lattice parameters (Å, degrees): 6.8960 5.5992 25.2077 90.00 93.89 90.00
Element x y z (fractional)
Mo (0.0020, 0.2289, 0.3365)
Mo (0.0020, 0.2711, 0.8365)
Mo (0.3167, 0.7217, 0.0447)
Mo (0.3167, 0.7783, 0.5447)
Mo (0.3384, 0.7361, 0.3989)
Mo (0.3384, 0.7639, 0.8989)
Mo (0.3396, 0.2319, 0.2203)
Mo (0.3396, 0.2681, 0.7203)
Mo (0.6604, 0.7319, 0.2797)
Mo (0.6604, 0.7681, 0.7797)
Mo (0.6616, 0.2361, 0.1011)
Mo (0.6616, 0.2639, 0.6011)
Mo (0.6833, 0.2217, 0.4553)
Mo (0.6833, 0.2783, 0.9553)
Mo (0.9980, 0.7289, 0.1635)
Mo (0.9980, 0.7711, 0.6635)
O (0.1178, 0.7349, 0.0868)
O (0.1178, 0.7651, 0.5868)
O (0.1391, 0.0324, 0.6821)
O (0.1391, 0.4676, 0.1821)
O (0.1673, 0.2363, 0.2841)
O (0.1673, 0.2637, 0.7841)
O (0.1669, 0.5434, 0.6867)
O (0.1669, 0.9566, 0.1867)
O (0.1701, 0.5091, 0.3771)
O (0.1701, 0.9909, 0.8771)
O (0.2058, 0.0032, 0.3812)
O (0.2058, 0.4968, 0.8812)
O (0.2280, 0.7448, 0.4758)
O (0.2280, 0.7552, 0.9758)
O (0.4386, 0.0592, 0.5553)
O (0.4386, 0.4408, 0.0553)
O (0.4839, 0.5448, 0.5618)
O (0.4839, 0.9552, 0.0618)
O (0.4929, 0.5008, 0.2448)
O (0.4929, 0.9992, 0.7448)
O (0.4981, 0.2261, 0.1534)
O (0.4981, 0.2739, 0.6534)
O (0.5019, 0.7261, 0.3466)
O (0.5019, 0.7739, 0.8466)
O (0.5071, 0.0008, 0.2552)
O (0.5071, 0.4992, 0.7552)
O (0.5161, 0.0448, 0.9382)
O (0.5161, 0.4552, 0.4382)
O (0.5614, 0.5592, 0.9447)
O (0.5614, 0.9408, 0.4447)
O (0.7720, 0.2448, 0.0242)
O (0.7720, 0.2552, 0.5242)
O (0.7942, 0.5032, 0.1188)
O (0.7942, 0.9968, 0.6188)
O (0.8299, 0.0091, 0.1229)
O (0.8299, 0.4909, 0.6229)
O (0.8331, 0.0434, 0.8133)
O (0.8331, 0.4566, 0.3133)
O (0.8327, 0.7363, 0.2159)
O (0.8327, 0.7637, 0.7159)
O (0.8609, 0.5324, 0.8179)
O (0.8609, 0.9676, 0.3179)
O (0.8822, 0.2349, 0.4132)
O (0.8822, 0.2651, 0.9132)

Values from the calculation:
ΔE to the lowest computed polymorph (eV per atom): 0.0000
SG: P2_1/c
Total magnetic moment (μB/atom): 0.133
Total energy (Ry/atom): -0.52207



[8]
Computed, not measured: a relaxed Na3VAsCO7 crystal at the GGA+U level of DFT.

Lattice parameters (Å, degrees): 5.3142 9.1579 14.0112 90.00 90.00 88.45
Element x y z (fractional)
As (0.2919, 0.5856, 0.3750)
As (0.7081, 0.4144, 0.1250)
O (0.6158, 0.5578, 0.3749)
O (0.2088, 0.6948, 0.2787)
V (0.2195, 0.6621, 0.6250)
O (0.8438, 0.5825, 0.6250)
O (0.8438, 0.5826, 0.1250)
O (0.1562, 0.4175, 0.8750)
Na (0.7481, 0.7371, 0.2541)
O (0.3842, 0.4421, 0.6250)
O (0.4808, 0.8557, 0.1250)
Na (0.2326, 0.9193, 0.8750)
O (0.4809, 0.8557, 0.6250)
O (0.9384, 0.1130, 0.3750)
O (0.2087, 0.6948, 0.7787)
O (0.2089, 0.6947, 0.4714)
As (0.7081, 0.4144, 0.6250)
O (0.6916, 0.9153, 0.3750)
As (0.2919, 0.5856, 0.8750)
O (0.1562, 0.4175, 0.3750)
Na (0.2519, 0.2630, 0.0041)
O (0.6158, 0.5579, 0.8750)
Na (0.2327, 0.9192, 0.3750)
C (0.2838, 0.9448, 0.1250)
Na (0.7673, 0.0808, 0.1250)
V (0.2195, 0.6621, 0.1250)
O (0.7911, 0.3051, 0.5286)
Na (0.2518, 0.2630, 0.5041)
O (0.7912, 0.3051, 0.2213)
C (0.2839, 0.9448, 0.6250)
O (0.7911, 0.3053, 0.0286)
Na (0.7674, 0.0807, 0.6250)
O (0.2089, 0.6949, 0.9714)
O (0.5192, 0.1443, 0.3750)
O (0.7913, 0.3052, 0.7213)
O (0.6915, 0.9154, 0.8751)
Na (0.2518, 0.2630, 0.7459)
Na (0.2519, 0.2629, 0.2459)
O (0.9384, 0.1130, 0.8750)
Na (0.7482, 0.7371, 0.9959)
C (0.7162, 0.0551, 0.3750)
Na (0.7482, 0.7370, 0.4959)
O (0.3084, 0.0847, 0.1250)
O (0.0616, 0.8870, 0.1250)
O (0.5191, 0.1443, 0.8750)
Na (0.7482, 0.7370, 0.7541)
O (0.3085, 0.0846, 0.6249)
O (0.3841, 0.4422, 0.1251)
V (0.7804, 0.3379, 0.3750)
V (0.7805, 0.3380, 0.8750)
O (0.0616, 0.8870, 0.6250)
C (0.7161, 0.0552, 0.8750)

Values from the calculation:
Total magnetic moment (μB/atom): 0.000
Total energy (Ry/atom): -0.46363



Record order is preserved below.
Volume: 18.35, 13.71, 11.82, 14.35, 11.91, 14.14, 16.18, 13.11 Å³ per atom